(1)
Entry from the Materials Project: a relaxed ZnSnSb2 crystal (r2SCAN).

Values from the calculation:
- size of the total moment (μB/cell) = 0.0
- distance to the lowest polymorph of the same formula (meV per atom) = 5
- energy of formation from the pure elements (eV per formula unit) = -0.40

a = 4.4856 Å, b = 4.4856 Å, c = 6.2755 Å
α = 90.00°, β = 90.00°, γ = 90.00°
Closest atoms and distances in Å follow each position.
Fractional coordinates of all 4 atoms:
Sb: 0.5000 0.0000 0.7776  2 Zn 2.64, 2 Sn 2.84
Zn: 0.0000 0.0000 0.0000  4 Sb 2.64
Sn: 0.5000 0.5000 0.5000  4 Sb 2.84
Sb: 0.0000 0.5000 0.2224  2 Zn 2.64, 2 Sn 2.84

=====

(2)
Entry from the Materials Project: a relaxed ErSiPd crystal (r2SCAN).

Values from the calculation:
- size of the total moment (μB/cell) = 0.0
- energy of formation from the pure elements (eV per formula unit) = -3.19

a = 4.2900 Å, b = 7.3990 Å, c = 13.7783 Å
α = 90.00°, β = 90.00°, γ = 90.00°
Closest atoms and distances in Å follow each position.
Fractional coordinates of all 24 atoms:
Si: 0.0000 0.5929 0.1453  4 Pd 2.50-2.73
Si: 0.5000 0.4071 0.3547  4 Pd 2.50-2.73
Er: 0.0000 0.2920 0.5000  6 Pd 3.04-3.07, 6 Si 3.06-3.12
Si: 0.0000 0.9081 0.4072  3 Pd 2.49-2.57, 1 Si 2.56
Si: 0.5000 0.4071 0.6453  4 Pd 2.50-2.73
Er: 0.5000 0.7896 0.7485  6 Pd 2.86-3.08, 6 Si 2.98-3.17
Er: 0.0000 0.2104 0.7515  6 Pd 2.86-3.08, 6 Si 2.98-3.17
Pd: 0.5000 0.0757 0.3912  3 Si 2.49-2.50
Er: 0.0000 0.2104 0.2485  6 Pd 2.86-3.08, 6 Si 2.98-3.17
Pd: 0.0000 0.9243 0.8912  3 Si 2.49-2.50
Er: 0.5000 0.6997 0.5000  6 Si 2.93-2.95, 6 Pd 3.16
Er: 0.5000 0.7896 0.2515  6 Pd 2.86-3.08, 6 Si 2.98-3.17
Er: 0.0000 0.3003 0.0000  6 Si 2.93-2.95, 6 Pd 3.16
Pd: 0.5000 0.0757 0.6088  3 Si 2.49-2.50
Si: 0.0000 0.5929 0.8547  4 Pd 2.50-2.73
Si: 0.0000 0.9081 0.5928  3 Pd 2.49-2.57, 1 Si 2.56
Pd: 0.5000 0.4182 0.8436  4 Si 2.51-2.73
Si: 0.5000 0.0919 0.9072  3 Pd 2.49-2.57, 1 Si 2.56
Pd: 0.0000 0.9243 0.1088  3 Si 2.49-2.50
Pd: 0.5000 0.4182 0.1564  4 Si 2.51-2.73
Pd: 0.0000 0.5818 0.6564  4 Si 2.51-2.73
Pd: 0.0000 0.5818 0.3436  4 Si 2.51-2.73
Si: 0.5000 0.0919 0.0928  3 Pd 2.49-2.57, 1 Si 2.56
Er: 0.5000 0.7080 0.0000  6 Pd 3.04-3.07, 6 Si 3.06-3.12

=====

(3)
Entry from the Materials Project: a relaxed Al8Fe5 crystal (r2SCAN).

Values from the calculation:
- size of the total moment (μB/cell) = 16.4
- energy of formation from the pure elements (eV per formula unit) = -2.67

a = 7.5902 Å, b = 7.5902 Å, c = 7.5902 Å
α = 109.47°, β = 109.47°, γ = 109.47°
Closest atoms and distances in Å follow each position.
Fractional coordinates of all 26 atoms:
Al: 0.3495 0.0000 0.7275  5 Fe 2.51-2.78, 5 Al 2.61-2.62
Al: 0.7275 0.0000 0.3495  5 Fe 2.51-2.78, 5 Al 2.61-2.62
Fe: 0.0000 0.3590 0.3590  3 Fe 2.47-2.67, 4 Al 2.51-2.58
Fe: 0.6646 0.0000 0.0000  9 Al 2.52-2.59, 3 Fe 2.67
Al: 0.3495 0.7275 0.0000  5 Fe 2.51-2.78, 5 Al 2.61-2.62
Fe: 0.6410 0.6410 0.0000  3 Fe 2.47-2.67, 4 Al 2.51-2.58
Fe: 0.3590 0.0000 0.3590  3 Fe 2.47-2.67, 4 Al 2.51-2.58
Fe: 0.0000 0.0000 0.6646  9 Al 2.52-2.59, 3 Fe 2.67
Al: 0.0000 0.2119 0.0000  6 Fe 2.52-2.58, 6 Al 2.61-2.63
Al: 0.2725 0.2725 0.6219  5 Fe 2.51-2.78, 5 Al 2.61-2.62
Fe: 0.0000 0.6410 0.6410  3 Fe 2.47-2.67, 4 Al 2.51-2.58
Al: 0.0000 0.7275 0.3495  5 Fe 2.51-2.78, 5 Al 2.61-2.62
Al: 0.2725 0.6219 0.2725  5 Fe 2.51-2.78, 5 Al 2.61-2.62
Fe: 0.3590 0.3590 0.0000  3 Fe 2.47-2.67, 4 Al 2.51-2.58
Al: 0.7882 0.7882 0.7882  6 Fe 2.52-2.58, 6 Al 2.61-2.63
Fe: 0.6410 0.0000 0.6410  3 Fe 2.47-2.67, 4 Al 2.51-2.58
Al: 0.6219 0.2725 0.2725  5 Fe 2.51-2.78, 5 Al 2.61-2.62
Al: 0.7275 0.3495 0.0000  5 Fe 2.51-2.78, 5 Al 2.61-2.62
Fe: 0.0000 0.6646 0.0000  9 Al 2.52-2.59, 3 Fe 2.67
Al: 0.3781 0.6505 0.6505  5 Fe 2.51-2.78, 5 Al 2.61-2.62
Al: 0.6505 0.6505 0.3781  5 Fe 2.51-2.78, 5 Al 2.61-2.62
Al: 0.6505 0.3781 0.6505  5 Fe 2.51-2.78, 5 Al 2.61-2.62
Al: 0.0000 0.0000 0.2119  6 Fe 2.52-2.58, 6 Al 2.61-2.63
Al: 0.0000 0.3495 0.7275  5 Fe 2.51-2.78, 5 Al 2.61-2.62
Fe: 0.3354 0.3354 0.3354  9 Al 2.52-2.59, 3 Fe 2.67
Al: 0.2119 0.0000 0.0000  6 Fe 2.52-2.58, 6 Al 2.61-2.63

=====

(4)
Entry from the Materials Project: a relaxed HoB4W crystal (r2SCAN).

Values from the calculation:
- size of the total moment (μB/cell) = 0.0
- energy of formation from the pure elements (eV per formula unit) = -3.86

a = 3.6104 Å, b = 6.0148 Å, c = 11.6189 Å
α = 90.00°, β = 90.00°, γ = 90.00°
Closest atoms and distances in Å follow each position.
Fractional coordinates of all 24 atoms:
B: 0.5000 0.1334 0.9681  3 B 1.77-1.86
B: 0.5000 0.1139 0.5475  3 B 1.76-1.78
B: 0.5000 0.7873 0.1864  3 B 1.80-1.87
B: 0.5000 0.5232 0.8066  3 B 1.78-1.87
Ho: 0.0000 0.8722 0.8507  14 B 2.66-2.82
B: 0.5000 0.8666 0.0319  3 B 1.77-1.86
W: 0.0000 0.6306 0.0842  10 B 2.36-2.39, 1 W 2.51
B: 0.5000 0.7127 0.6864  3 B 1.80-1.87
W: 0.0000 0.1306 0.4158  10 B 2.36-2.39, 1 W 2.51
B: 0.5000 0.4768 0.1934  3 B 1.78-1.87
B: 0.5000 0.6139 0.9525  3 B 1.76-1.78
Ho: 0.0000 0.1278 0.1493  14 B 2.66-2.82
W: 0.0000 0.3694 0.9158  10 B 2.36-2.39, 1 W 2.51
B: 0.5000 0.9768 0.3066  3 B 1.78-1.87
W: 0.0000 0.8694 0.5842  10 B 2.36-2.39, 1 W 2.51
Ho: 0.0000 0.6278 0.3507  14 B 2.66-2.82
B: 0.5000 0.6334 0.5319  3 B 1.77-1.86
B: 0.5000 0.8861 0.4525  3 B 1.76-1.78
B: 0.5000 0.0232 0.6934  3 B 1.78-1.87
B: 0.5000 0.2127 0.8136  3 B 1.80-1.87
B: 0.5000 0.3666 0.4681  3 B 1.77-1.86
B: 0.5000 0.3861 0.0475  3 B 1.76-1.78
Ho: 0.0000 0.3722 0.6493  14 B 2.66-2.82
B: 0.5000 0.2873 0.3136  3 B 1.80-1.87

=====

(5)
Entry from the Materials Project: a relaxed Th7Os3 crystal (r2SCAN).

Values from the calculation:
- size of the total moment (μB/cell) = 0.0
- energy of formation from the pure elements (eV per formula unit) = -3.76

a = 10.0046 Å, b = 10.0046 Å, c = 6.3806 Å
α = 90.00°, β = 90.00°, γ = 120.00°
Closest atoms and distances in Å follow each position.
Fractional coordinates of all 20 atoms:
Os: 0.8133 0.1867 0.0469  6 Th 2.86-3.11
Th: 0.6667 0.3333 0.2805  3 Os 2.95
Th: 0.8739 0.7478 0.5053  3 Os 2.87-3.11
Th: 0.2522 0.1261 0.5053  3 Os 2.87-3.11
Th: 0.0777 0.5388 0.3017  2 Os 2.86
Th: 0.7478 0.8739 0.0053  3 Os 2.87-3.11
Th: 0.1261 0.2522 0.0053  3 Os 2.87-3.11
Th: 0.1261 0.8739 0.0053  3 Os 2.87-3.11
Th: 0.4612 0.5388 0.3017  2 Os 2.86
Os: 0.8133 0.6265 0.0469  6 Th 2.86-3.11
Th: 0.5388 0.0777 0.8017  2 Os 2.86
Os: 0.6265 0.8133 0.5469  6 Th 2.86-3.11
Os: 0.1867 0.8133 0.5469  6 Th 2.86-3.11
Th: 0.4612 0.9223 0.3017  2 Os 2.86
Th: 0.5388 0.4612 0.8017  2 Os 2.86
Os: 0.1867 0.3735 0.5469  6 Th 2.86-3.11
Th: 0.8739 0.1261 0.5053  3 Os 2.87-3.11
Os: 0.3735 0.1867 0.0469  6 Th 2.86-3.11
Th: 0.9223 0.4612 0.8017  2 Os 2.86
Th: 0.3333 0.6667 0.7805  3 Os 2.95

=====

(6)
Entry from the Materials Project: a relaxed ErCo2Ge2 crystal (r2SCAN).

Values from the calculation:
- size of the total moment (μB/cell) = 0.0
- energy of formation from the pure elements (eV per formula unit) = -2.79

a = 3.9051 Å, b = 3.9051 Å, c = 5.7118 Å
α = 109.99°, β = 109.99°, γ = 90.00°
Closest atoms and distances in Å follow each position.
Fractional coordinates of all 5 atoms:
Er: 0.0000 0.0000 0.0000  8 Ge 3.04, 8 Co 3.17
Ge: 0.3726 0.3726 0.7452  4 Co 2.31, 1 Ge 2.55
Ge: 0.6274 0.6274 0.2548  4 Co 2.31, 1 Ge 2.55
Co: 0.2500 0.7500 0.5000  4 Ge 2.31
Co: 0.7500 0.2500 0.5000  4 Ge 2.31

=====

(7)
Entry from the Materials Project: a relaxed NdErIn2 crystal (r2SCAN).

Values from the calculation:
- size of the total moment (μB/cell) = 0.0
- energy of formation from the pure elements (eV per formula unit) = -2.34

a = 5.3575 Å, b = 5.3586 Å, c = 5.3560 Å
α = 59.98°, β = 60.00°, γ = 59.99°
Closest atoms and distances in Å follow each position.
Fractional coordinates of all 4 atoms:
Nd: 0.7500 0.7500 0.7500  8 In 3.28
Er: 0.2500 0.2500 0.2500  8 In 3.28
In: 0.9999 0.9999 0.0003  4 Nd 3.28, 4 Er 3.28
In: 0.5001 0.5001 0.4997  4 Nd 3.28, 4 Er 3.28

=====

(8)
Entry from the Materials Project: a relaxed Sc2Te3 crystal (r2SCAN).

Values from the calculation:
- size of the total moment (μB/cell) = 0.0
- energy of formation from the pure elements (eV per formula unit) = -6.99

a = 7.2035 Å, b = 7.2035 Å, c = 7.1505 Å
α = 80.26°, β = 80.26°, γ = 119.44°
Closest atoms and distances in Å follow each position.
Fractional coordinates of all 10 atoms:
Te: 0.1580 0.3279 0.9998  4 Sc 2.90-2.96
Sc: 0.2508 0.7492 0.7500  6 Te 2.91-2.94
Te: 0.8420 0.6721 0.0002  4 Sc 2.90-2.96
Sc: 0.0869 0.9131 0.2500  6 Te 2.90-2.96
Te: 0.3279 0.1580 0.4998  4 Sc 2.90-2.96
Te: 0.0000 0.5000 0.5000  4 Sc 2.90-2.94
Sc: 0.9131 0.0869 0.7500  6 Te 2.90-2.96
Sc: 0.7492 0.2508 0.2500  6 Te 2.91-2.94
Te: 0.5000 0.0000 0.0000  4 Sc 2.90-2.94
Te: 0.6721 0.8420 0.5002  4 Sc 2.90-2.96

=====

(9)
Entry from the Materials Project: a relaxed MgPb2 crystal (r2SCAN).

Values from the calculation:
- size of the total moment (μB/cell) = 0.0
- distance to the lowest polymorph of the same formula (meV per atom) = 0
- energy of formation from the pure elements (eV per formula unit) = -0.15

a = 7.8416 Å, b = 7.8416 Å, c = 6.8864 Å
α = 67.65°, β = 67.65°, γ = 25.83°
Closest atoms and distances in Å follow each position.
Fractional coordinates of all 6 atoms:
Pb: 0.8544 0.8544 0.1293  4 Mg 3.20, 6 Pb 3.43-3.50
Pb: 0.8533 0.8533 0.6280  4 Mg 3.19-3.22, 6 Pb 3.43-3.50
Pb: 0.1467 0.1467 0.3720  4 Mg 3.19-3.22, 6 Pb 3.43-3.50
Pb: 0.1456 0.1456 0.8707  4 Mg 3.20, 6 Pb 3.43-3.50
Mg: 0.5013 0.5013 0.2503  8 Pb 3.19-3.22, 4 Mg 3.42-3.50
Mg: 0.4987 0.4987 0.7497  8 Pb 3.19-3.22, 4 Mg 3.42-3.50